The following is a DFT calculation (r2SCAN) of Ti3Bi4O12 after structural relaxation. Values from VASP.

The structure in Quantum ESPRESSO input format:
```
&SYSTEM
  ibrav = 0, nat = 38, ntyp = 3
/
ATOMIC_SPECIES
Ti 47.87 Ti.upf
Bi 208.98 Bi.upf
O 16.00 O.upf
ATOMIC_POSITIONS angstrom
Ti 12.2304 1.3572 2.7105
Ti 16.5690 1.3657 2.7198
Ti 20.7590 1.3605 2.6811
Ti 12.2290 -1.3572 5.4303
Ti 16.5704 -1.3657 0.0000
Ti 20.7576 -1.3605 5.4009
Bi 9.4433 1.3503 0.3041
Bi 14.2949 1.3201 0.2480
Bi 18.7050 1.3336 0.2137
Bi 23.4615 1.2981 0.3448
Bi 9.4419 -1.3503 3.0239
Bi 14.2934 -1.3201 2.9678
Bi 18.7036 -1.3336 2.9335
Bi 23.4600 -1.2981 3.0646
O 10.4906 1.5680 2.6932
O 16.3201 2.4527 0.9764
O 4.0951 0.2886 3.6711
O 4.0966 -0.2886 0.9513
O 18.5122 1.7541 2.4634
O 8.1930 0.0110 4.2996
O 8.1945 -0.0110 1.5798
O 14.6519 0.9908 2.4871
O 12.4732 0.1957 1.0883
O 12.4717 -0.1957 3.8081
O 16.9025 0.1806 4.1001
O 22.5151 1.0449 2.6371
O 16.9039 -0.1806 1.3803
O 20.1836 0.1720 4.1055
O 10.4891 -1.5680 5.4130
O 14.6504 -0.9908 5.2069
O 20.1850 -0.1720 1.3856
O 24.7724 0.0092 4.2759
O 24.7738 -0.0092 1.5561
O 29.4055 0.0953 1.3786
O 22.5137 -1.0449 5.3569
O 18.5108 -1.7541 5.1833
O 29.4041 -0.0953 4.0985
O 16.3186 -2.4527 3.6962
CELL_PARAMETERS angstrom
16.5704 -2.6935 0.0000
16.5704 2.6935 0.0000
-0.0029 0.0000 5.4397
```

Values from the calculation:
**Mass density**: 8.01 Mg/m³
**DFT formation energy**: -2.31 eV per atom